Record 1
# Zn3Cd3Te2O12

An optimized crystal structure of Zn3Cd3Te2O12 (r²SCAN, Materials Project).

Properties
- uncorrected energy (eV per atom) = -11.905
- formation enthalpy at 0 K (meV/atom) = -1427

Cell lengths 10.8611, 10.8611, 10.8611 Å; angles 109.47, 109.47, 109.47 degrees
Fractional positions:
1 O 0.0954 0.9771 0.6695
2 Cd 0.3750 0.1250 0.2500
3 Cd 0.8750 0.6250 0.2500
4 Te 0.0000 0.0000 0.5000
5 O 0.3305 0.9259 0.3076
6 O 0.1695 0.4771 0.5954
7 Zn 0.7500 0.8750 0.1250
8 O 0.8817 0.4046 0.0741
9 Te 0.5000 0.0000 0.5000
10 O 0.5954 0.1695 0.4771
11 Zn 0.6250 0.7500 0.3750
12 Zn 0.2500 0.6250 0.3750
13 O 0.0741 0.8817 0.4046
14 O 0.3817 0.5741 0.9046
15 Cd 0.2500 0.3750 0.1250
16 Cd 0.1250 0.3750 0.7500
17 O 0.1924 0.1183 0.0229
18 Zn 0.1250 0.8750 0.2500
19 O 0.3305 0.9046 0.0229
20 O 0.9771 0.8076 0.8817
21 O 0.8305 0.8076 0.4259
22 O 0.6183 0.6924 0.5229
23 O 0.6183 0.4259 0.0954
24 Zn 0.8750 0.1250 0.7500
25 O 0.0229 0.1924 0.1183
26 Te 0.5000 0.5000 0.0000
27 O 0.4259 0.0954 0.6183
28 Cd 0.6250 0.2500 0.8750
29 Zn 0.6250 0.3750 0.2500
30 O 0.6695 0.0954 0.9771
31 O 0.8076 0.4259 0.8305
32 O 0.8817 0.9771 0.8076
33 O 0.1695 0.1924 0.5741
34 Cd 0.3750 0.7500 0.1250
35 O 0.9046 0.3817 0.5741
36 Te 0.0000 0.0000 0.0000
37 O 0.4771 0.3817 0.3076
38 O 0.9046 0.0229 0.3305
39 Zn 0.3750 0.6250 0.7500
40 Cd 0.6250 0.8750 0.7500
41 O 0.5954 0.9259 0.1183
42 Cd 0.8750 0.7500 0.6250
43 O 0.5741 0.1695 0.1924
44 Cd 0.7500 0.1250 0.3750
45 O 0.9771 0.6695 0.0954
46 Zn 0.8750 0.2500 0.1250
47 O 0.6924 0.6695 0.0741
48 O 0.6695 0.0741 0.6924
49 O 0.1183 0.5954 0.9259
50 O 0.3076 0.3305 0.9259
51 O 0.8305 0.5229 0.4046
52 Cd 0.7500 0.6250 0.8750
53 O 0.1924 0.5741 0.1695
54 O 0.1183 0.0229 0.1924
55 O 0.4771 0.5954 0.1695
56 O 0.5229 0.4046 0.8305
57 Te 0.5000 0.0000 0.0000
58 Cd 0.2500 0.8750 0.6250
59 Te 0.0000 0.5000 0.0000
60 O 0.0229 0.3305 0.9046
61 Te 0.0000 0.5000 0.5000
62 O 0.5229 0.6183 0.6924
63 O 0.4046 0.0741 0.8817
64 O 0.9259 0.1183 0.5954
65 Zn 0.7500 0.3750 0.6250
66 O 0.5741 0.9046 0.3817
67 O 0.9259 0.3076 0.3305
68 O 0.4046 0.8305 0.5229
69 Cd 0.1250 0.2500 0.3750
70 O 0.3817 0.3076 0.4771
71 O 0.0954 0.6183 0.4259
72 O 0.8076 0.8817 0.9771
73 Zn 0.2500 0.1250 0.8750
74 Te 0.5000 0.5000 0.5000
75 Zn 0.3750 0.2500 0.6250
76 O 0.6924 0.5229 0.6183
77 O 0.4259 0.8305 0.8076
78 O 0.0741 0.6924 0.6695
79 Zn 0.1250 0.7500 0.8750
80 O 0.3076 0.4771 0.3817

---

Record 2
# Tb3P4Pd7

An optimized crystal structure of Tb3P4Pd7 (r²SCAN, Materials Project).

Properties
- uncorrected energy (eV per atom) = -21.812
- formation enthalpy at 0 K (meV/atom) = -1068

Cell lengths 3.9979, 8.1762, 7.9267 Å; angles 71.22, 75.38, 75.86 degrees
Fractional positions:
1 Pd 0.8325 0.4201 0.9144
2 Pd 0.4900 0.2839 0.7355
3 Pd 0.5100 0.7161 0.2645
4 Pd 0.1675 0.5799 0.0856
5 P 0.1056 0.1812 0.6075
6 P 0.3409 0.2534 0.0645
7 Tb 0.3197 0.6766 0.6842
8 Tb 0.6803 0.3234 0.3158
9 Pd 0.0000 0.5000 0.5000
10 P 0.6591 0.7466 0.9355
11 Pd 0.3042 0.0305 0.3606
12 P 0.8944 0.8188 0.3925
13 Tb 0.0000 0.0000 0.0000
14 Pd 0.6958 0.9695 0.6394

---

Record 3
# EuNpO3

An optimized crystal structure of EuNpO3 (r²SCAN, Materials Project).

Properties
- uncorrected energy (eV per atom) = -31.381
- formation enthalpy at 0 K (meV/atom) = -3489

Cell lengths 5.9402, 6.1344, 8.5528 Å; angles 90.00, 90.00, 90.00 degrees
Fractional positions:
1 Np 0.5000 0.5000 0.5000
2 O 0.1984 0.7004 0.0656
3 O 0.3016 0.2004 0.4344
4 O 0.8789 0.0513 0.2500
5 O 0.6984 0.7996 0.5656
6 Eu 0.5168 0.0513 0.7500
7 O 0.1984 0.7004 0.4344
8 O 0.3789 0.4487 0.7500
9 Eu 0.9832 0.5513 0.7500
10 O 0.8016 0.2996 0.5656
11 O 0.1211 0.9487 0.7500
12 Np 0.0000 0.0000 0.5000
13 Np 0.5000 0.5000 0.0000
14 Eu 0.0168 0.4487 0.2500
15 O 0.6984 0.7996 0.9344
16 O 0.8016 0.2996 0.9344
17 O 0.6211 0.5513 0.2500
18 Eu 0.4832 0.9487 0.2500
19 Np 0.0000 0.0000 0.0000
20 O 0.3016 0.2004 0.0656

---

Which of these has the lowest formation enthalpy at 0 K?
EuNpO3

---

Number 3 is which compound?
EuNpO3

---

Among the records above, which one has the lowest uncorrected energy?
EuNpO3